# CdI2 (GGA-PBE, optimized geometry)
data_CdI2
_cell_length_a 4.337
_cell_length_b 4.337
_cell_length_c 98.923
_cell_angle_alpha 90.00
_cell_angle_beta 90.00
_cell_angle_gamma 120.00
_symmetry_space_group_name_H-M 'P 1'
_symmetry_Int_Tables_number 1
loop_
_symmetry_equiv_pos_as_xyz
'x,y,z'
loop_
_atom_site_label
_atom_site_fract_x
_atom_site_fract_y
_atom_site_fract_z
Cd1 0.000 0.000 0.000
Cd2 0.000 0.000 0.077
Cd3 0.000 0.000 0.154
Cd4 0.000 0.000 0.231
Cd5 0.000 0.000 0.538
Cd6 0.000 0.000 0.615
Cd7 0.000 0.000 0.692
Cd8 0.667 0.333 0.308
Cd9 0.667 0.333 0.385
Cd10 0.667 0.333 0.461
Cd11 0.667 0.333 0.769
Cd12 0.667 0.333 0.846
Cd13 0.667 0.333 0.923
I1 0.000 0.000 0.290
I2 0.000 0.000 0.367
I3 0.000 0.000 0.444
I4 0.000 0.000 0.752
I5 0.000 0.000 0.829
I6 0.000 0.000 0.906
I7 0.333 0.667 0.017
I8 0.333 0.667 0.094
I9 0.333 0.667 0.171
I10 0.333 0.667 0.248
I11 0.333 0.667 0.325
I12 0.333 0.667 0.402
I13 0.333 0.667 0.479
I14 0.333 0.667 0.556
I15 0.333 0.667 0.633
I16 0.333 0.667 0.709
I17 0.333 0.667 0.786
I18 0.333 0.667 0.863
I19 0.333 0.667 0.940
I20 0.667 0.333 0.060
I21 0.667 0.333 0.137
I22 0.667 0.333 0.213
I23 0.667 0.333 0.521
I24 0.667 0.333 0.598
I25 0.667 0.333 0.675
I26 0.667 0.333 0.983
# - MP2020-corrected energy: -2.163 eV per atom
# - Calculated total energy: -1.9099 eV per atom
# - Space group: P3m1 (156)
# - Energy of formation from the pure elements: -0.839 eV/atom



# CdI2 (GGA-PBE, optimized geometry)
data_CdI2
_cell_length_a 4.333
_cell_length_b 4.333
_cell_length_c 67.078
_cell_angle_alpha 90.00
_cell_angle_beta 90.00
_cell_angle_gamma 120.00
_symmetry_space_group_name_H-M 'P 1'
_symmetry_Int_Tables_number 1
loop_
_symmetry_equiv_pos_as_xyz
'x,y,z'
loop_
_atom_site_label
_atom_site_fract_x
_atom_site_fract_y
_atom_site_fract_z
Cd1 0.000 0.000 0.000
Cd2 0.000 0.000 0.222
Cd3 0.000 0.000 0.445
Cd4 0.000 0.000 0.555
Cd5 0.000 0.000 0.778
Cd6 0.333 0.667 0.667
Cd7 0.333 0.667 0.889
Cd8 0.667 0.333 0.111
Cd9 0.667 0.333 0.333
I1 0.000 0.000 0.085
I2 0.000 0.000 0.308
I3 0.000 0.000 0.692
I4 0.000 0.000 0.915
I5 0.333 0.667 0.026
I6 0.333 0.667 0.137
I7 0.333 0.667 0.248
I8 0.333 0.667 0.359
I9 0.333 0.667 0.470
I10 0.333 0.667 0.581
I11 0.333 0.667 0.803
I12 0.667 0.333 0.197
I13 0.667 0.333 0.419
I14 0.667 0.333 0.530
I15 0.667 0.333 0.641
I16 0.667 0.333 0.752
I17 0.667 0.333 0.863
I18 0.667 0.333 0.974
# - MP2020-corrected energy: -2.162 eV per atom
# - Calculated total energy: -1.9092 eV per atom
# - Space group: P-3m1 (164)
# - Energy of formation from the pure elements: -0.838 eV/atom



# CdI2 (GGA-PBE, optimized geometry)
data_CdI2
_cell_length_a 4.346
_cell_length_b 4.346
_cell_length_c 80.823
_cell_angle_alpha 90.00
_cell_angle_beta 90.00
_cell_angle_gamma 120.00
_symmetry_space_group_name_H-M 'P 1'
_symmetry_Int_Tables_number 1
loop_
_symmetry_equiv_pos_as_xyz
'x,y,z'
loop_
_atom_site_label
_atom_site_fract_x
_atom_site_fract_y
_atom_site_fract_z
Cd1 0.000 0.000 0.000
Cd2 0.000 0.000 0.091
Cd3 0.000 0.000 0.182
Cd4 0.000 0.000 0.273
Cd5 0.000 0.000 0.545
Cd6 0.000 0.000 0.727
Cd7 0.000 0.000 0.818
Cd8 0.333 0.667 0.364
Cd9 0.333 0.667 0.455
Cd10 0.333 0.667 0.636
Cd11 0.667 0.333 0.909
I1 0.000 0.000 0.385
I2 0.000 0.000 0.476
I3 0.000 0.000 0.658
I4 0.000 0.000 0.888
I5 0.333 0.667 0.021
I6 0.333 0.667 0.112
I7 0.333 0.667 0.203
I8 0.333 0.667 0.294
I9 0.333 0.667 0.567
I10 0.333 0.667 0.749
I11 0.333 0.667 0.840
I12 0.333 0.667 0.930
I13 0.667 0.333 0.069
I14 0.667 0.333 0.160
I15 0.667 0.333 0.251
I16 0.667 0.333 0.342
I17 0.667 0.333 0.433
I18 0.667 0.333 0.524
I19 0.667 0.333 0.615
I20 0.667 0.333 0.706
I21 0.667 0.333 0.797
I22 0.667 0.333 0.979
# - MP2020-corrected energy: -2.161 eV per atom
# - Calculated total energy: -1.9083 eV per atom
# - Space group: P3m1 (156)
# - Energy of formation from the pure elements: -0.837 eV/atom



MP2020-corrected energy of number 3 (CdI2)?
-2.161 eV per atom